PBE MgAg2O4, optimized geometry; energy of formation = -0.69 eV/atom; SG = P1, No. 1; DFT total energy = -125.06 eV/cell; energy relative to the lowest polymorph listed for this composition = 0.3861 eV per atom
1.0
5.578 0.000 0.000
0.000 6.344 0.000
0.004 0.123 10.998
Mg Ag O
4 8 16
Cartesian
0.000 0.000 0.000 Mg
0.898 3.227 5.505 Mg
2.479 3.168 0.002 Mg
3.989 6.396 5.502 Mg
0.247 3.201 2.363 Ag
0.253 3.261 8.639 Ag
0.646 6.430 7.867 Ag
0.642 6.370 3.139 Ag
3.233 1.612 2.751 Ag
3.232 4.786 2.751 Ag
3.237 1.673 8.252 Ag
3.237 4.847 8.252 Ag
1.283 1.684 10.273 O
1.276 1.580 0.759 O
1.280 4.781 0.731 O
1.283 4.884 10.247 O
1.992 3.212 7.305 O
1.995 3.248 3.693 O
2.648 6.337 4.008 O
2.651 0.114 6.999 O
3.822 3.233 9.503 O
3.816 3.232 1.497 O
4.474 6.322 1.811 O
4.486 0.137 9.198 O
5.189 1.646 4.749 O
5.192 4.789 4.773 O
5.193 1.663 6.230 O
5.196 4.807 6.256 O



PBE MgAg2O4, optimized geometry; energy of formation = -1.04 eV/atom; SG = Imma, No. 74; DFT total energy = -63.21 eV/cell; energy relative to the lowest polymorph listed for this composition = 0.0368 eV per atom
1.0
-3.258 3.360 3.992
3.258 -3.360 3.992
3.258 3.360 -3.992
Mg Ag O
2 4 8
Cartesian
-1.629 1.680 1.996 Mg
1.629 1.680 1.996 Mg
0.000 0.000 0.000 Ag
3.258 1.680 -1.207 Ag
0.000 3.360 0.000 Ag
0.000 1.680 5.199 Ag
1.342 1.680 -0.112 O
1.916 -1.680 3.880 O
3.258 0.347 1.947 O
0.000 0.347 2.044 O
3.258 3.013 1.947 O
0.000 3.013 2.044 O
1.342 5.040 0.112 O
1.916 1.680 4.104 O



Which of these has the lowest energy relative to the lowest polymorph listed for this composition?
number 2